Entry 1:
First-principles (GGA-PBE) data for Sn3PO6 after structural relaxation, as listed in Materials Project.

Space-group type = No. 14
ΔE_f = -195.1 kJ per mole of atoms
Final energy = -6.32 eV per atom

Unit cell a=11.1903 b=5.0404 c=12.6317 alpha=69.47 beta=90.00 gamma=90.00
Positions (direct):
Sn (0.8573, 0.4553, 0.6794)
O (0.7900, 0.7157, 0.5077)
O (0.7910, 0.6356, 0.2450)
O (0.0673, 0.0744, 0.9081)
Sn (0.3573, 0.5447, 0.8206)
O (0.2555, 0.8488, 0.8691)
P (0.6552, 0.9356, 0.6874)
O (0.2100, 0.2843, 0.4923)
O (0.1825, 0.8433, 0.1434)
Sn (0.8590, 0.1315, 0.4171)
O (0.6825, 0.1567, 0.3566)
Sn (0.3919, 0.2299, 0.5447)
O (0.8175, 0.1567, 0.8566)
Sn (0.3590, 0.8685, 0.0829)
P (0.8448, 0.9356, 0.1874)
O (0.7445, 0.1512, 0.1309)
Sn (0.1427, 0.5447, 0.3206)
O (0.5673, 0.9256, 0.5919)
O (0.7555, 0.1512, 0.6309)
Sn (0.6427, 0.4553, 0.1794)
Sn (0.1410, 0.8685, 0.5829)
O (0.0794, 0.9744, 0.7288)
Sn (0.1081, 0.2299, 0.0447)
O (0.4327, 0.0744, 0.4081)
O (0.2900, 0.2843, 0.9923)
O (0.9206, 0.0256, 0.2712)
P (0.1552, 0.0644, 0.8126)
Sn (0.6081, 0.7701, 0.4553)
Sn (0.6410, 0.1315, 0.9171)
O (0.2090, 0.3644, 0.7550)
P (0.3448, 0.0644, 0.3126)
O (0.2445, 0.8488, 0.3691)
O (0.3175, 0.8433, 0.6434)
Sn (0.8919, 0.7701, 0.9553)
O (0.5794, 0.0256, 0.7712)
O (0.7100, 0.7157, 0.0077)
O (0.4206, 0.9744, 0.2288)
O (0.9327, 0.9256, 0.0919)
O (0.7090, 0.6356, 0.7450)
O (0.2910, 0.3644, 0.2550)


Entry 2:
First-principles (GGA-PBE) data for Na2PRuCO7 after structural relaxation, as listed in Materials Project.

Space-group type = No. 11
ΔE_f = -199.7 kJ per mole of atoms
Final energy = -6.77 eV per atom

Unit cell a=6.5604 b=5.2476 c=9.1332 alpha=88.82 beta=90.00 gamma=90.00
Positions (direct):
O (0.2500, 0.4720, 0.8348)
Na (0.0047, 0.2362, 0.2383)
C (0.7500, 0.7249, 0.0717)
P (0.2500, 0.7086, 0.4228)
O (0.2500, 0.0561, 0.8587)
O (0.2500, 0.2900, 0.0647)
O (0.0618, 0.7913, 0.3297)
O (0.2500, 0.4125, 0.4460)
O (0.7500, 0.7100, 0.9353)
O (0.5618, 0.2087, 0.6703)
O (0.7500, 0.1587, 0.4269)
P (0.7500, 0.2914, 0.5772)
O (0.2500, 0.8413, 0.5731)
O (0.7500, 0.9439, 0.1413)
C (0.2500, 0.2751, 0.9283)
O (0.9382, 0.2087, 0.6703)
Na (0.5047, 0.7638, 0.7617)
O (0.4382, 0.7913, 0.3297)
O (0.7500, 0.5875, 0.5540)
O (0.7500, 0.5280, 0.1652)
Ru (0.7500, 0.7816, 0.3452)
Na (0.4953, 0.2362, 0.2383)
Na (0.9953, 0.7638, 0.7617)
Ru (0.2500, 0.2184, 0.6548)


Entry 3:
First-principles (GGA-PBE) data for MgIrN2 after structural relaxation, as listed in Materials Project.

Space-group type = No. 122
ΔE_f = -6.5 kJ per mole of atoms
Final energy = -6.66 eV per atom

Unit cell a=5.7144 b=4.7127 c=9.2842 alpha=90.00 beta=144.33 gamma=114.35
Positions (direct):
Ir (0.0000, 0.0000, 0.5000)
Mg (0.0000, 0.0000, 0.0000)
N (0.5441, 0.5220, 0.3970)
Ir (0.0000, 0.5000, 0.7500)
N (0.5000, 0.0220, 0.6250)
N (0.5000, 0.9780, 0.1250)
Mg (0.0000, 0.5000, 0.2500)
N (0.4559, 0.4780, 0.8530)


Q: Which value of final energy does entry 2 give?
A: -6.77 eV per atom


Q: Which of these has the highest final energy?
A: Sn3PO6


Q: Among the records above, which one has the lowest final energy?
A: Na2PRuCO7